Entry from the Materials Project: crystalline MgTeWO6 at its relaxed geometry (GGA+U).

SG: No. 1
Formation enthalpy at 0 K, eV per atom: -2.113
Crystal system: triclinic
Uncorrected energy, eV/atom: -6.43
Theoretical density, g/cm³: 5.66
Relative energy among the computed polymorphs, eV per atom: 0.000

Lattice parameters (Å, degrees): 6.040 6.045 10.853 154.02 46.80 128.01
Positions (direct):
Mg 0.309 0.000 0.309
Te 0.522 0.998 0.521
W 0.002 0.000 0.003
O 0.328 0.389 0.115
O 0.244 0.709 0.606
O 0.114 0.400 0.728
O 0.895 0.637 0.244
O 0.727 0.216 0.330
O 0.607 0.652 0.895